The following is a DFT calculation (PBE) of a geometry-optimized Na10Zn2Si7Ge6S5O48 structure.

The structure in POSCAR format:
```
Na10Zn2Si7Ge6S5O48
1.0
8.799 0.000 0.000
-0.032 15.059 0.000
-0.096 -0.239 21.865
Na Zn Si Ge S O
30 6 21 18 15 144
direct
0.000 0.000 0.000
0.000 0.303 0.334
0.006 0.963 0.666
0.014 0.336 0.667
0.124 0.835 0.168
0.131 0.463 0.166
0.136 0.803 0.834
0.185 0.157 0.166
0.317 0.640 0.917
0.319 0.978 0.582
0.322 0.319 0.751
0.325 0.322 0.251
0.326 0.981 0.083
0.332 0.650 0.419
0.440 0.157 0.671
0.495 0.463 0.671
0.497 0.137 0.004
0.504 0.161 0.339
0.636 0.661 0.839
0.645 0.961 0.168
0.682 0.987 0.837
0.700 0.657 0.171
0.811 0.823 0.250
0.818 0.817 0.749
0.820 0.479 0.082
0.822 0.142 0.417
0.823 0.161 0.918
0.823 0.489 0.580
0.952 0.657 0.665
0.998 0.667 0.335
0.303 0.313 0.100
0.319 0.319 0.609
0.330 0.991 0.432
0.810 0.491 0.931
0.810 0.822 0.109
0.833 0.811 0.599
0.031 0.990 0.836
0.034 0.648 0.171
0.104 0.148 0.672
0.117 0.487 0.336
0.170 0.511 0.671
0.173 0.127 0.338
0.176 0.175 0.998
0.184 0.798 0.672
0.456 0.795 0.172
0.459 0.843 0.834
0.465 0.132 0.832
0.522 0.483 0.835
0.617 0.983 0.336
0.666 0.627 0.332
0.667 0.963 0.004
0.678 0.346 0.336
0.683 0.295 0.671
0.951 0.296 0.171
0.960 0.669 0.499
0.965 0.628 0.838
0.970 0.010 0.172
0.280 0.659 0.565
0.305 0.648 0.777
0.308 0.653 0.069
0.308 0.983 0.736
0.323 0.652 0.274
0.324 0.984 0.236
0.328 0.321 0.394
0.329 0.314 0.895
0.329 0.992 0.932
0.797 0.812 0.399
0.814 0.485 0.735
0.814 0.824 0.894
0.820 0.156 0.774
0.822 0.496 0.429
0.833 0.149 0.277
0.833 0.481 0.236
0.835 0.155 0.568
0.847 0.152 0.063
0.024 0.317 0.501
0.116 0.814 0.001
0.173 0.839 0.336
0.176 0.469 0.003
0.465 0.508 0.168
0.467 0.465 0.502
0.473 0.172 0.504
0.522 0.816 0.505
0.535 0.154 0.170
0.600 0.653 0.669
0.613 0.321 0.004
0.665 0.671 0.004
0.673 0.007 0.667
0.962 0.968 0.504
0.967 0.339 0.836
0.000 0.121 0.610
0.005 0.512 0.392
0.005 0.828 0.337
0.012 0.478 0.999
0.017 0.460 0.274
0.021 0.801 0.944
0.025 0.827 0.057
0.114 0.328 0.558
0.120 0.303 0.445
0.126 0.978 0.499
0.130 0.962 0.776
0.134 0.003 0.897
0.135 0.330 0.838
0.137 0.309 0.168
0.141 0.621 0.111
0.142 0.665 0.231
0.146 0.648 0.830
0.151 0.663 0.500
0.159 0.004 0.179
0.187 0.070 0.397
0.189 0.574 0.609
0.199 0.892 0.278
0.208 0.235 0.667
0.208 0.733 0.730
0.209 0.421 0.061
0.210 0.243 0.942
0.211 0.895 0.997
0.212 0.731 0.004
0.214 0.059 0.676
0.217 0.397 0.346
0.218 0.577 0.328
0.239 0.877 0.390
0.241 0.414 0.665
0.241 0.748 0.330
0.247 0.427 0.948
0.248 0.073 0.990
0.257 0.229 0.344
0.258 0.560 0.006
0.261 0.201 0.062
0.261 0.758 0.609
0.262 0.554 0.728
0.264 0.089 0.276
0.266 0.896 0.676
0.367 0.753 0.110
0.369 0.886 0.893
0.372 0.894 0.176
0.383 0.228 0.840
0.387 0.086 0.771
0.388 0.422 0.447
0.389 0.545 0.223
0.390 0.743 0.827
0.396 0.419 0.161
0.398 0.556 0.505
0.405 0.084 0.501
0.407 0.397 0.844
0.411 0.217 0.559
0.421 0.892 0.497
0.422 0.575 0.825
0.429 0.728 0.229
0.434 0.232 0.167
0.435 0.730 0.507
0.437 0.070 0.171
0.441 0.415 0.558
0.442 0.566 0.112
0.446 0.226 0.447
0.446 0.911 0.777
0.452 0.069 0.892
0.484 0.640 0.327
0.484 0.977 0.992
0.491 0.665 0.008
0.494 0.330 0.345
0.502 0.308 0.666
0.504 0.636 0.614
0.506 0.003 0.671
0.511 0.964 0.272
0.514 0.302 0.947
0.515 0.664 0.726
0.520 0.011 0.394
0.520 0.334 0.059
0.618 0.801 0.447
0.619 0.510 0.893
0.620 0.831 0.559
0.624 0.164 0.226
0.626 0.138 0.113
0.628 0.464 0.772
0.632 0.504 0.173
0.634 0.470 0.494
0.637 0.805 0.170
0.645 0.832 0.843
0.646 0.166 0.507
0.652 0.139 0.827
0.689 0.911 0.065
0.690 0.568 0.393
0.691 0.725 0.947
0.698 0.067 0.613
0.699 0.409 0.276
0.700 0.570 0.671
0.701 0.235 0.006
0.703 0.731 0.665
0.704 0.229 0.729
0.716 0.396 0.996
0.717 0.075 0.325
0.728 0.714 0.060
0.729 0.895 0.345
0.731 0.582 0.001
0.742 0.919 0.661
0.745 0.044 0.725
0.746 0.067 0.009
0.748 0.245 0.329
0.754 0.725 0.341
0.760 0.587 0.273
0.762 0.921 0.943
0.767 0.395 0.676
0.770 0.389 0.395
0.772 0.253 0.610
0.872 0.395 0.175
0.874 0.589 0.775
0.876 0.057 0.226
0.876 0.251 0.108
0.880 0.060 0.506
0.881 0.730 0.844
0.882 0.569 0.491
0.890 0.925 0.449
0.895 0.248 0.830
0.895 0.700 0.564
0.901 0.377 0.891
0.902 0.912 0.168
0.914 0.074 0.829
0.922 0.899 0.842
0.924 0.558 0.176
0.925 0.395 0.496
0.929 0.232 0.503
0.929 0.738 0.440
0.929 0.921 0.561
0.930 0.234 0.230
0.930 0.734 0.165
0.940 0.391 0.778
0.953 0.570 0.897
0.955 0.069 0.107
0.982 0.504 0.679
0.989 0.164 0.002
0.990 0.166 0.729
0.992 0.148 0.330
0.999 0.810 0.669
```

For the formation energy, the calculation gives -178.0 eV per formula unit. As for the mass density: 3.30 g cm⁻³. The spin magnetization comes out at 0.00 μB per formula unit.